A relaxed NpSeO crystal. Source: the Materials Project, functional PBE.

Lattice parameters (Å, degrees): 3.881 3.881 6.983 90.00 90.00 90.00
Element x y z (fractional)
Np: 0.000 0.500 0.819
Np: 0.500 0.000 0.181
Se: 0.000 0.500 0.370
Se: 0.500 0.000 0.630
O: 0.000 0.000 0.000
O: 0.500 0.500 0.000

## Properties
Energy of formation from the pure elements   -2410 meV/atom
Crystal system   tetragonal
Space-group type   P4/nmm